Entry from Materials Project: crystalline In2CuAgSe4 at its relaxed geometry (PBE).

Cell: 7.3307 7.3307 7.3307 Å, 131.31 131.31 71.32°
Fractional coordinates of all 8 atoms:
In 0.7500 0.2500 0.5000
Se 0.6467 0.6456 0.5285
Se 0.1170 0.1182 0.4715
Se 0.3544 0.8830 0.0012
Ag 0.2500 0.7500 0.5000
Se 0.8818 0.3533 0.9988
In 0.5000 0.5000 0.0000
Cu 0.0000 0.0000 0.0000

Summary:
**Calculated formation energy**: -0.658 eV/atom
**Magnetization**: 0.0 μB/f.u.
**DFT total energy**: -3.724 eV/atom


Entry from Materials Project: crystalline Al6GeW at its relaxed geometry (PBE).

Cell: 5.0350 5.0350 5.0350 Å, 90.00 90.00 90.00°
Fractional coordinates of all 8 atoms:
Ge 0.5000 0.5000 0.5000
Al 0.0000 0.5000 0.2455
Al 0.5000 0.7545 0.0000
Al 0.7545 0.0000 0.5000
W 0.0000 0.0000 0.0000
Al 0.2455 0.0000 0.5000
Al 0.0000 0.5000 0.7545
Al 0.5000 0.2455 0.0000

Summary:
**Calculated formation energy**: -0.103 eV/atom
**Magnetization**: 0.0 μB/f.u.
**DFT total energy**: -5.109 eV/atom


Entry from Materials Project: crystalline P4PtIO10 at its relaxed geometry (PBE).

Cell: 22.0554 11.0483 16.9125 Å, 60.48 90.00 90.00°
Fractional coordinates of all 64 atoms:
O 0.9603 0.9991 0.1654
Pt 0.5392 0.5168 0.5506
Pt 0.9608 0.5168 0.0506
O 0.8254 0.6019 0.0609
I 0.0649 0.6943 0.8017
O 0.4999 0.1858 0.5147
O 0.6746 0.6019 0.5609
O 0.3405 0.5472 0.5251
I 0.5649 0.3057 0.6983
P 0.5592 0.1089 0.5757
O 0.1746 0.3981 0.9391
O 0.3824 0.8384 0.4691
O 0.0632 0.1259 0.2351
O 0.8824 0.1616 0.0309
O 0.1595 0.5472 0.0251
O 0.0716 0.3007 0.8808
O 0.1106 0.3650 0.2144
P 0.0081 0.3114 0.9069
O 0.9368 0.8741 0.7649
O 0.3801 0.2882 0.5916
O 0.6595 0.4528 0.4749
O 0.6106 0.6350 0.2856
O 0.0001 0.1858 0.0147
O 0.6199 0.7118 0.4084
O 0.3254 0.3981 0.4391
O 0.9999 0.8142 0.9853
O 0.8405 0.4528 0.9749
P 0.1481 0.4349 0.0042
O 0.4516 0.6418 0.6453
P 0.4030 0.2578 0.6904
P 0.4919 0.3114 0.4069
P 0.9919 0.6886 0.0931
O 0.9284 0.6993 0.1192
Pt 0.4608 0.4832 0.4494
I 0.4351 0.6943 0.3017
O 0.5632 0.8741 0.2649
P 0.9030 0.7422 0.8096
O 0.0397 0.0009 0.8346
O 0.0484 0.6418 0.1453
Pt 0.0392 0.4832 0.9494
O 0.5716 0.6993 0.6192
P 0.6481 0.5651 0.4958
O 0.8894 0.6350 0.7856
O 0.5484 0.3582 0.3547
O 0.4368 0.1259 0.7351
O 0.9516 0.3582 0.8547
P 0.3519 0.4349 0.5042
O 0.3894 0.3650 0.7144
O 0.1176 0.8384 0.9691
P 0.5081 0.6886 0.5931
P 0.0592 0.8911 0.9243
P 0.0970 0.2578 0.1904
P 0.8519 0.5651 0.9958
O 0.5001 0.8142 0.4853
O 0.1199 0.2882 0.0916
P 0.5970 0.7422 0.3096
I 0.9351 0.3057 0.1983
O 0.4284 0.3007 0.3808
O 0.6176 0.1616 0.5309
P 0.9408 0.1089 0.0757
O 0.4603 0.0009 0.3346
O 0.5397 0.9991 0.6654
O 0.8801 0.7118 0.9084
P 0.4408 0.8911 0.4243

Summary:
**Calculated formation energy**: -1.639 eV/atom
**Magnetization**: 1.0 μB/f.u.
**DFT total energy**: -6.130 eV/atom
**ΔE to the lowest computed polymorph**: 26 kJ/mol of formula units


Entry from Materials Project: crystalline CsHSO2 at its relaxed geometry (PBE).

Cell: 5.8174 6.4113 12.0387 Å, 93.73 90.00 116.98°
Fractional coordinates of all 20 atoms:
O 0.1112 0.2224 0.6271
S 0.5409 0.0819 0.3599
O 0.4064 0.8128 0.1486
H 0.9235 0.1176 0.6281
Cs 0.7734 0.5467 0.6560
O 0.1962 0.8144 0.8479
O 0.6182 0.8144 0.8479
O 0.8038 0.1856 0.1521
S 0.5332 0.0665 0.1887
O 0.5936 0.1872 0.8514
H 0.1941 0.1176 0.6281
H 0.8059 0.8824 0.3719
O 0.3818 0.1856 0.1521
Cs 0.8534 0.7069 0.0811
Cs 0.1466 0.2931 0.9189
H 0.0765 0.8824 0.3719
O 0.8888 0.7776 0.3729
S 0.4591 0.9181 0.6401
Cs 0.2266 0.4533 0.3440
S 0.4668 0.9335 0.8113

Summary:
**Calculated formation energy**: -1.640 eV/atom
**Magnetization**: 0.0 μB/f.u.
**DFT total energy**: -5.029 eV/atom


Entry from Materials Project: crystalline Sr3Tm at its relaxed geometry (PBE).

Cell: 8.0482 8.0482 6.5784 Å, 90.00 90.00 120.00°
Fractional coordinates of all 8 atoms:
Sr 0.1718 0.8282 0.2500
Tm 0.3333 0.6667 0.7500
Sr 0.1718 0.3437 0.2500
Sr 0.8282 0.6563 0.7500
Tm 0.6667 0.3333 0.2500
Sr 0.3437 0.1718 0.7500
Sr 0.8282 0.1718 0.7500
Sr 0.6563 0.8282 0.2500

Summary:
**Calculated formation energy**: 0.229 eV/atom
**Magnetization**: 0.2 μB/f.u.
**DFT total energy**: -2.157 eV/atom


Entry from Materials Project: crystalline MgAsPt5 at its relaxed geometry (PBE).

Cell: 3.9876 3.9876 7.1770 Å, 90.00 90.00 90.00°
Fractional coordinates of all 7 atoms:
Pt 0.5000 0.0000 0.2798
As 0.5000 0.5000 0.5000
Pt 0.5000 0.5000 0.0000
Mg 0.0000 0.0000 0.0000
Pt 0.5000 0.0000 0.7202
Pt 0.0000 0.5000 0.7202
Pt 0.0000 0.5000 0.2798

Summary:
**Calculated formation energy**: -0.478 eV/atom
**DFT total energy**: -5.709 eV/atom


Entry from Materials Project: crystalline EuNpO3 at its relaxed geometry (PBE).

Cell: 5.9857 6.1411 8.5852 Å, 90.00 90.00 90.00°
Fractional coordinates of all 20 atoms:
O 0.1929 0.6960 0.4394
Eu 0.4882 0.9499 0.2500
O 0.6929 0.8040 0.9394
O 0.8071 0.3040 0.5606
O 0.6929 0.8040 0.5606
O 0.3071 0.1960 0.4394
O 0.8849 0.0488 0.2500
O 0.1929 0.6960 0.0606
O 0.6151 0.5488 0.2500
Np 0.5000 0.5000 0.0000
Np 0.0000 0.0000 0.5000
O 0.8071 0.3040 0.9394
Np 0.5000 0.5000 0.5000
Eu 0.9882 0.5501 0.7500
Eu 0.5118 0.0501 0.7500
Eu 0.0118 0.4499 0.2500
O 0.1151 0.9512 0.7500
O 0.3849 0.4512 0.7500
O 0.3071 0.1960 0.0606
Np 0.0000 0.0000 0.0000

Summary:
**Calculated formation energy**: -3.425 eV/atom
**DFT total energy**: -10.623 eV/atom


Entry from Materials Project: crystalline ScSiAu at its relaxed geometry (PBE).

Cell: 4.2617 4.2617 6.8628 Å, 90.00 90.00 120.00°
Fractional coordinates of all 6 atoms:
Si 0.0000 0.0000 0.7036
Si 0.0000 0.0000 0.2964
Sc 0.6667 0.3333 0.0000
Au 0.3333 0.6667 0.2160
Sc 0.6667 0.3333 0.5000
Au 0.3333 0.6667 0.7840

Summary:
**Calculated formation energy**: -0.744 eV/atom
**DFT total energy**: -5.754 eV/atom


Entry from Materials Project: crystalline Rb3Hg20 at its relaxed geometry (PBE).

Cell: 11.5696 11.5696 11.5696 Å, 90.00 90.00 90.00°
Fractional coordinates of all 46 atoms:
Hg 0.0000 0.7415 0.1328
Hg 0.0000 0.2585 0.8672
Hg 0.5000 0.7500 0.0000
Rb 0.0000 0.7500 0.5000
Hg 0.3672 0.7585 0.5000
Hg 0.6328 0.2415 0.5000
Hg 0.0000 0.2585 0.1328
Rb 0.0000 0.2500 0.5000
Hg 0.7500 0.2500 0.7500
Hg 0.5000 0.6328 0.2415
Hg 0.5000 0.3672 0.7585
Hg 0.0000 0.7415 0.8672
Rb 0.7500 0.5000 0.0000
Hg 0.5000 0.2500 0.0000
Hg 0.7500 0.0000 0.5000
Rb 0.5000 0.0000 0.7500
Hg 0.2585 0.8672 0.0000
Hg 0.3672 0.2415 0.5000
Hg 0.7415 0.8672 0.0000
Hg 0.7585 0.5000 0.6328
Hg 0.0000 0.5000 0.7500
Hg 0.6328 0.7585 0.5000
Hg 0.2415 0.5000 0.6328
Hg 0.2500 0.0000 0.5000
Hg 0.8672 0.0000 0.7415
Hg 0.7500 0.2500 0.2500
Hg 0.2585 0.1328 0.0000
Hg 0.7585 0.5000 0.3672
Hg 0.0000 0.5000 0.2500
Hg 0.8672 0.0000 0.2585
Hg 0.5000 0.3672 0.2415
Hg 0.2415 0.5000 0.3672
Hg 0.5000 0.5000 0.5000
Hg 0.2500 0.2500 0.7500
Hg 0.2500 0.2500 0.2500
Hg 0.5000 0.6328 0.7585
Hg 0.0000 0.0000 0.0000
Hg 0.2500 0.7500 0.2500
Rb 0.5000 0.0000 0.2500
Hg 0.7415 0.1328 0.0000
Hg 0.7500 0.7500 0.2500
Hg 0.7500 0.7500 0.7500
Hg 0.1328 0.0000 0.2585
Hg 0.2500 0.7500 0.7500
Hg 0.1328 0.0000 0.7415
Rb 0.2500 0.5000 0.0000

Summary:
**Calculated formation energy**: -0.126 eV/atom
**Magnetization**: 0.1 μB/f.u.
**DFT total energy**: -0.518 eV/atom


Entry from Materials Project: crystalline CrSi2 at its relaxed geometry (PBE).

Cell: 4.3530 4.3530 4.3530 Å, 138.52 138.52 60.11°
Fractional coordinates of all 3 atoms:
Si 0.3370 0.3370 0.0000
Cr 0.0000 0.0000 0.0000
Si 0.6630 0.6630 0.0000

Summary:
**Calculated formation energy**: -0.325 eV/atom
**DFT total energy**: -7.207 eV/atom


Entry from Materials Project: crystalline MgZn2Fe4S8 at its relaxed geometry (PBE).

Cell: 7.3028 7.2942 7.3166 Å, 60.03 60.05 60.14°
Fractional coordinates of all 15 atoms:
Fe 0.5242 0.5246 0.9260
Zn 0.8751 0.8750 0.8751
S 0.2498 0.2520 0.2507
S 0.7415 0.2760 0.7409
S 0.2758 0.7412 0.7409
Zn 0.1260 0.1239 0.1238
S 0.7477 0.2507 0.2517
Fe 0.5239 0.5238 0.5244
Fe 0.5250 0.9262 0.5245
Mg 0.3768 0.3730 0.3741
S 0.7420 0.7413 0.7410
Fe 0.9280 0.5245 0.5236
S 0.2508 0.7452 0.2520
S 0.7413 0.7411 0.2762
S 0.2516 0.2520 0.7454

Summary:
**Calculated formation energy**: -0.490 eV/atom
**Magnetization**: 10.0 μB/f.u.
**DFT total energy**: -4.962 eV/atom
**ΔE to the lowest computed polymorph**: 279 kJ/mol of formula units


Entry from Materials Project: crystalline BaGe2O5 at its relaxed geometry (PBE).

Cell: 13.2697 9.6956 13.4066 Å, 85.95 90.00 90.00°
Fractional coordinates of all 128 atoms:
Ge 0.0000 0.0000 0.5000
O 0.7633 0.8372 0.0881
Ge 0.1515 0.2645 0.3916
O 0.6322 0.5865 0.5533
O 0.2103 0.4813 0.1204
O 0.6522 0.6815 0.7436
O 0.3478 0.3185 0.2564
Ba 0.9904 0.6122 0.8684
O 0.6426 0.6378 0.2216
Ge 0.2454 0.5257 0.9831
O 0.1261 0.0519 0.2453
Ge 0.1065 0.2502 0.8866
Ge 0.0002 0.0125 0.2614
O 0.1495 0.6724 0.9816
O 0.8470 0.6144 0.5105
Ge 0.1311 0.7598 0.0914
O 0.6106 0.4141 0.8027
O 0.9925 0.8975 0.3723
Ge 0.8935 0.7498 0.1134
O 0.8739 0.9481 0.7547
O 0.9414 0.9454 0.1501
O 0.3746 0.9324 0.5363
O 0.3894 0.5859 0.1973
Ba 0.7475 0.8626 0.8843
Ba 0.7537 0.1212 0.6340
O 0.2367 0.1628 0.9119
O 0.1522 0.3185 0.7564
O 0.7672 0.4177 0.6586
Ge 0.6311 0.2402 0.4086
O 0.6295 0.0683 0.9649
Ba 0.4904 0.3878 0.6316
Ge 0.0000 0.0000 0.0000
Ge 0.9998 0.9875 0.7386
Ge 0.7266 0.5194 0.7605
O 0.7328 0.4177 0.1586
Ge 0.5002 0.9875 0.2386
O 0.0409 0.1729 0.4291
O 0.8746 0.0676 0.9637
O 0.0281 0.6886 0.1621
Ba 0.0096 0.3878 0.1316
O 0.3678 0.4135 0.4467
Ba 0.0139 0.6130 0.3671
O 0.9719 0.3114 0.8379
Ge 0.3485 0.2645 0.8916
O 0.3493 0.6654 0.0056
O 0.8705 0.0683 0.4649
O 0.1295 0.9317 0.5351
O 0.9157 0.1569 0.2645
Ge 0.6515 0.7355 0.1084
O 0.1254 0.9324 0.0363
O 0.8505 0.3276 0.0184
Ba 0.7463 0.1212 0.1340
O 0.6495 0.3276 0.5184
O 0.6507 0.3346 0.9944
Ba 0.2525 0.1374 0.1157
O 0.7625 0.2195 0.8318
O 0.8493 0.3346 0.4944
O 0.6261 0.9481 0.2547
O 0.8478 0.6815 0.2436
O 0.3470 0.3856 0.9895
Ba 0.5096 0.6122 0.3684
Ge 0.3689 0.7598 0.5914
O 0.6254 0.0676 0.4637
Ge 0.5000 0.0000 0.5000
O 0.5409 0.8271 0.0709
O 0.5281 0.3114 0.3379
O 0.7897 0.5187 0.8796
Ba 0.2537 0.8788 0.8660
O 0.2375 0.7805 0.1682
Ge 0.3679 0.7593 0.1204
O 0.0525 0.1772 0.0124
O 0.7375 0.2195 0.3318
O 0.1507 0.6654 0.5056
O 0.8678 0.5865 0.0533
Ge 0.8689 0.2402 0.9086
O 0.4157 0.8431 0.2355
Ge 0.8679 0.2407 0.3796
Ge 0.6321 0.2407 0.8796
O 0.7367 0.8372 0.5881
Ge 0.8485 0.7355 0.6084
Ge 0.1321 0.7593 0.6204
O 0.4591 0.1729 0.9291
O 0.3574 0.3622 0.7784
Ge 0.7454 0.4743 0.5169
O 0.1106 0.5859 0.6973
Ge 0.7734 0.5194 0.2605
Ba 0.2475 0.1374 0.6157
O 0.5586 0.9454 0.6501
Ge 0.2734 0.4806 0.2395
O 0.2897 0.4813 0.6204
Ge 0.7546 0.4743 0.0169
O 0.4925 0.1025 0.1277
Ge 0.2266 0.4806 0.7395
O 0.2672 0.5823 0.8414
Ba 0.7525 0.8626 0.3843
O 0.5075 0.8975 0.8723
O 0.8894 0.4141 0.3027
Ge 0.4998 0.0125 0.7614
O 0.4719 0.6886 0.6621
O 0.1426 0.3622 0.2784
O 0.0843 0.8431 0.7355
O 0.3739 0.0519 0.7453
O 0.8574 0.6378 0.7216
Ba 0.4861 0.6130 0.8671
Ge 0.2546 0.5257 0.4831
O 0.0586 0.0546 0.8499
O 0.3505 0.6724 0.4816
O 0.2633 0.1628 0.4119
O 0.5843 0.1569 0.7645
O 0.0075 0.1025 0.6277
O 0.4414 0.0546 0.3499
O 0.9591 0.8271 0.5709
Ba 0.9861 0.3870 0.6329
O 0.3705 0.9317 0.0351
O 0.5525 0.8228 0.4876
O 0.9475 0.8228 0.9876
O 0.1322 0.4135 0.9467
Ge 0.5000 0.0000 0.0000
Ba 0.5139 0.3870 0.1329
Ge 0.6065 0.7498 0.6134
O 0.6530 0.6144 0.0105
O 0.7103 0.5187 0.3796
O 0.1530 0.3856 0.4895
O 0.4475 0.1772 0.5124
O 0.2625 0.7805 0.6682
Ba 0.2463 0.8788 0.3660
O 0.2328 0.5823 0.3414
Ge 0.3935 0.2502 0.3866

Summary:
**Calculated formation energy**: -2.458 eV/atom
**Magnetization**: 0.0 μB/f.u.
**DFT total energy**: -6.517 eV/atom
**ΔE to the lowest computed polymorph**: 0 kJ/mol of formula units


What is the DFT total energy in the fifth record?
-2.157 eV/atom